Below is an optimized crystal structure of KNdC2O6, with properties calculated at the r²SCAN level.

```
40
Lattice="-4.744 4.144 -1.566 0.112 -2.890 -7.988 -6.657 -6.735 2.343" Properties=species:S:1:pos:R:3 pbc="T T T"
C -5.146 -4.451 -7.105
C -1.823 -2.281 -1.563
C -9.470 -3.273 -5.829
C -5.145 -5.642 -0.394
C -2.769 1.144 -4.578
C -2.391 -0.543 -8.350
C -6.134 0.101 -7.003
C -5.527 -2.682 -3.103
O -1.008 -1.335 -1.286
O -5.424 -5.621 -6.622
O -1.016 -2.815 -5.348
O -2.225 -2.376 -2.794
O -6.955 0.973 -2.285
O -6.965 -0.456 -6.204
O -3.904 -4.083 -7.157
O -1.457 -1.345 -8.004
O -9.097 -4.044 -6.804
O -5.047 -3.473 -4.015
O -2.952 2.368 -1.581
O -5.487 -5.676 -1.645
O -5.702 -0.609 -7.999
O -5.827 -7.683 -3.655
O -6.462 -1.852 -3.374
O -9.149 -4.380 -2.606
O -8.740 -2.251 -5.580
O -8.800 -0.894 -1.635
O -6.077 -3.685 -7.550
O -2.912 0.272 -7.489
O -4.012 0.817 -4.414
O -5.890 -6.274 0.433
O -5.035 -2.752 -1.907
O -1.834 0.279 -4.407
K -7.153 -5.234 -4.418
K -3.664 -1.704 -5.646
K -4.310 -0.047 -1.737
K -7.478 -3.252 -0.622
Nd -3.430 -4.543 -2.495
Nd -7.790 -2.135 -7.961
Nd -0.125 -1.161 -3.689
Nd -4.485 1.258 -9.126
```

Computed properties:
M_tot: 0.000 Bohr magnetons per cell
Energy relative to the elements: -2287 meV/atom
Calculated total energy: -11.403 eV/atom
SG: No. 31

***

Below is an optimized crystal structure of K2PdC2, with properties calculated at the r²SCAN level.

```
5
Lattice="2.559 -4.432 0.000 2.559 4.432 0.000 0.000 0.000 5.258" Properties=species:S:1:pos:R:3 pbc="T T T"
K 2.559 1.477 1.471
K 2.559 -1.477 3.787
C 0.000 0.000 3.261
C 0.000 0.000 1.997
Pd 0.000 0.000 0.000
```

Computed properties:
M_tot: 0.000 Bohr magnetons per cell
Energy relative to the elements: -65 meV/atom
Calculated total energy: -11.043 eV/atom
SG: No. 164

***

Below is an optimized crystal structure of LiLaC2O6, with properties calculated at the r²SCAN level.

```
20
Lattice="-6.037 -1.123 1.900 -0.058 1.639 6.215 -3.757 5.460 1.709" Properties=species:S:1:pos:R:3 pbc="T T T"
O -3.255 3.236 3.676
O -4.271 4.219 1.987
O -6.597 2.740 6.147
O -4.443 3.204 6.543
O -7.445 5.947 7.746
O -8.483 4.014 7.953
O -5.581 1.757 7.837
O -5.409 2.772 3.281
O -1.369 1.962 1.871
O -1.501 0.980 3.891
O -8.351 4.996 5.932
O -2.407 0.030 2.078
C -1.768 0.991 2.643
C -4.335 3.403 3.000
C -5.517 2.574 6.823
C -8.084 4.986 7.181
La -2.160 2.467 5.803
La -7.692 3.509 4.021
Li -4.341 5.057 6.439
Li -5.511 0.919 3.385
```

Computed properties:
M_tot: 0.000 Bohr magnetons per cell
Energy relative to the elements: -2344 meV/atom
Calculated total energy: -11.130 eV/atom
SG: No. 15

***

Below is an optimized crystal structure of LaMg6C, with properties calculated at the r²SCAN level.

```
8
Lattice="2.792 -6.863 0.000 2.792 6.863 0.000 0.000 0.000 4.624" Properties=species:S:1:pos:R:3 pbc="T T T"
Mg 4.177 -0.664 2.312
Mg 1.472 1.087 0.000
Mg 2.792 4.050 0.000
Mg 2.792 -1.927 0.000
Mg 1.407 -0.664 2.312
Mg 4.112 1.087 0.000
La 2.792 -4.153 2.312
C 2.792 1.184 2.312
```

Computed properties:
M_tot: 0.005 Bohr magnetons per cell
Energy relative to the elements: 370 meV/atom
Calculated total energy: -7.719 eV/atom
SG: No. 38

***

Below is an optimized crystal structure of LaC6N9, with properties calculated at the r²SCAN level.

```
32
Lattice="3.987 -5.847 0.000 3.987 5.847 0.000 0.000 0.000 10.352" Properties=species:S:1:pos:R:3 pbc="T T T"
N 2.198 1.590 6.171
N 3.987 3.986 10.264
N 1.810 -1.498 7.764
N 2.198 -1.590 4.182
N 2.198 -1.590 0.994
N 2.198 1.590 9.358
N 5.775 1.590 6.171
N 3.987 3.986 5.265
N 5.775 -1.590 4.182
N 6.164 -1.498 7.764
N 3.987 -3.986 0.088
N 6.164 1.498 2.588
N 5.775 -1.590 0.994
N 3.987 0.340 2.588
N 1.810 1.498 2.588
N 3.987 -3.986 5.088
N 3.987 -0.340 7.764
N 5.775 1.590 9.358
La 3.987 -2.519 2.588
La 3.987 2.519 7.764
C 5.112 0.987 2.588
C 2.855 -4.150 9.826
C 5.119 -4.150 5.703
C 2.861 -0.987 7.764
C 5.112 -0.987 7.764
C 5.119 4.150 4.649
C 2.855 4.150 4.649
C 2.855 -4.150 5.703
C 2.861 0.987 2.588
C 2.855 4.150 0.527
C 5.119 -4.150 9.826
C 5.119 4.150 0.527
```

Computed properties:
M_tot: 0.000 Bohr magnetons per cell
Energy relative to the elements: -66 meV/atom
Calculated total energy: -10.790 eV/atom
SG: No. 63

***

Below is an optimized crystal structure of LaNdC4, with properties calculated at the r²SCAN level.

```
6
Lattice="1.948 3.793 -0.001 -1.948 3.793 -0.001 0.000 3.580 6.682" Properties=species:S:1:pos:R:3 pbc="T T T"
C 0.000 2.237 1.294
C 0.000 8.930 5.387
C 0.000 7.822 4.725
C 0.000 3.344 1.955
Nd 0.000 0.000 0.000
La 0.000 5.583 3.340
```

Computed properties:
M_tot: 0.000 Bohr magnetons per cell
Energy relative to the elements: -311 meV/atom
Calculated total energy: -16.803 eV/atom
SG: No. 12

***

Below is an optimized crystal structure of LaNiC2, with properties calculated at the r²SCAN level.

```
4
Lattice="-2.971 -2.029 1.252 2.375 -2.448 -1.695 1.872 -0.594 3.481" Properties=species:S:1:pos:R:3 pbc="T T T"
Ni 0.042 -2.489 1.847
C 1.611 -3.289 0.867
C 1.789 -1.949 1.000
La 2.373 -2.448 -1.694
```

Computed properties:
M_tot: 0.000 Bohr magnetons per cell
Energy relative to the elements: -349 meV/atom
Calculated total energy: -15.755 eV/atom
SG: No. 38

***

Below is an optimized crystal structure of La2Ni5C3, with properties calculated at the r²SCAN level.

```
20
Lattice="8.268 0.000 0.000 0.000 8.268 0.000 0.000 0.000 4.026" Properties=species:S:1:pos:R:3 pbc="T T T"
La 1.341 5.475 0.000
La 5.475 6.927 0.000
La 2.793 1.341 0.000
La 6.927 2.793 0.000
Ni 3.513 5.892 2.013
Ni 0.621 1.758 2.013
Ni 4.755 2.376 2.013
Ni 7.647 6.510 2.013
Ni 4.134 4.134 0.000
Ni 1.758 7.647 2.013
Ni 0.000 0.000 0.000
Ni 2.376 3.513 2.013
Ni 5.892 4.755 2.013
Ni 6.510 0.621 2.013
C 0.481 3.653 2.013
C 7.787 4.615 2.013
C 3.653 7.787 2.013
C 0.000 0.000 2.013
C 4.615 0.481 2.013
C 4.134 4.134 2.013
```

Computed properties:
M_tot: 0.000 Bohr magnetons per cell
Energy relative to the elements: -325 meV/atom
Calculated total energy: -15.249 eV/atom
SG: No. 127

***

Below is an optimized crystal structure of La2CO5, with properties calculated at the r²SCAN level.

```
48
Lattice="3.526 6.104 0.003 -3.526 6.104 0.003 0.000 4.058 15.972" Properties=species:S:1:pos:R:3 pbc="T T T"
O -0.596 13.222 15.027
O 0.595 7.104 7.153
O -0.926 9.760 3.974
O 1.632 5.317 2.869
O -1.524 7.119 2.864
O 1.524 9.147 13.113
O -1.632 7.346 10.855
O 0.926 11.789 11.960
O 0.595 7.133 0.838
O -0.595 9.162 8.824
O -0.926 4.477 4.018
O -1.648 10.980 10.846
O -0.595 9.133 15.139
O -0.575 13.218 8.937
O 1.648 8.951 2.860
O 0.596 3.044 0.951
O -1.632 10.949 13.108
O 0.575 11.189 0.951
O -1.524 7.118 5.127
O -0.596 5.073 8.937
O 1.648 5.285 5.132
O 1.524 9.148 10.850
O -1.648 7.314 13.118
O 0.575 3.047 7.041
O -0.575 5.076 15.027
O -3.429 7.118 3.996
O 0.926 6.506 12.004
O 1.632 8.920 5.122
O 0.596 11.193 7.041
O 3.429 9.147 11.982
C -2.146 7.118 3.996
C -1.953 11.500 11.987
C 2.146 9.147 11.982
C -1.953 6.795 11.976
C 1.953 4.766 3.990
C 1.953 9.471 4.001
La -2.910 9.151 9.502
La -0.574 5.110 1.549
La 2.910 7.115 6.475
La -0.571 9.128 1.513
La 0.574 11.155 14.428
La 2.910 7.122 1.516
La -0.574 9.126 6.442
La 0.574 7.140 9.535
La 0.571 11.157 9.499
La -2.910 9.144 14.461
La -0.571 5.108 6.479
La 0.571 7.138 14.465
```

Computed properties:
M_tot: 0.000 Bohr magnetons per cell
Energy relative to the elements: -3066 meV/atom
Calculated total energy: -15.479 eV/atom
SG: No. 15

***

Below is an optimized crystal structure of La7Os4C9, with properties calculated at the r²SCAN level.

```
20
Lattice="2.719 6.006 -0.001 -2.719 6.006 -0.001 0.000 4.263 11.194" Properties=species:S:1:pos:R:3 pbc="T T T"
C 0.000 6.006 -0.001
C 0.000 7.329 6.848
C 0.000 10.407 7.946
C 0.000 2.983 1.621
C 0.000 13.293 9.572
C 0.000 1.718 2.011
C 0.000 14.557 9.181
C 0.000 5.869 3.246
C 0.000 8.946 4.344
Os 0.000 9.236 6.402
Os 0.000 7.040 4.790
Os 0.000 4.903 1.579
Os 0.000 11.373 9.613
La 0.000 4.649 7.590
La 0.000 8.193 1.748
La 0.000 3.294 4.279
La 0.000 0.000 0.000
La 0.000 8.082 9.445
La 0.000 11.627 3.602
La 0.000 12.982 6.914
```

Computed properties:
M_tot: 0.000 Bohr magnetons per cell
Energy relative to the elements: -417 meV/atom
Calculated total energy: -25.901 eV/atom
SG: No. 12

***

Below is an optimized crystal structure of La3PbC, with properties calculated at the r²SCAN level.

```
5
Lattice="-2.393 -0.870 4.579 4.423 -2.046 1.923 1.469 4.744 1.669" Properties=species:S:1:pos:R:3 pbc="T T T"
La 2.946 1.349 1.796
La -0.462 1.937 3.124
La 1.015 -1.458 3.251
Pb 0.000 0.000 0.000
C 1.749 0.914 4.085
```

Computed properties:
M_tot: 0.192 Bohr magnetons per cell
Energy relative to the elements: -587 meV/atom
Calculated total energy: -31.680 eV/atom
SG: No. 221

***

Below is an optimized crystal structure of La12Re5C15, with properties calculated at the r²SCAN level.

```
32
Lattice="5.597 -9.694 0.000 5.597 9.694 0.000 0.000 0.000 5.473" Properties=species:S:1:pos:R:3 pbc="T T T"
La 7.942 -5.633 2.737
La 2.291 0.000 2.737
La 10.048 -1.984 2.737
La 7.588 2.624 0.000
La 7.942 5.633 2.737
La 7.588 -2.624 0.000
La 10.048 1.984 2.737
La 5.128 5.260 0.000
La 5.128 -5.260 0.000
La 6.505 0.000 2.737
La 4.075 1.811 0.000
La 4.075 -1.811 0.000
C 5.041 5.047 2.737
C 10.058 1.968 0.000
C 8.090 -5.376 0.000
C 7.412 -6.550 0.000
C 7.412 6.550 0.000
C 8.090 5.377 0.000
C 7.564 0.000 0.000
C 5.041 -5.047 2.737
C 2.272 0.000 0.000
C 7.448 -2.805 2.737
C 4.302 1.842 2.737
C 6.208 0.000 0.000
C 7.448 2.805 2.737
C 10.058 -1.968 0.000
C 4.302 -1.842 2.737
Re 9.490 0.000 0.000
Re 5.597 3.231 2.737
Re 5.597 -3.231 2.737
Re 0.852 -1.476 0.000
Re 6.449 -8.219 0.000
```

Computed properties:
M_tot: 0.000 Bohr magnetons per cell
Energy relative to the elements: -404 meV/atom
Calculated total energy: -24.411 eV/atom
SG: No. 189

***

Below is an optimized crystal structure of Li2CO3, with properties calculated at the r²SCAN level.

```
12
Lattice="-3.751 0.270 3.030 -3.812 -2.842 -0.843 0.032 -4.737 3.806" Properties=species:S:1:pos:R:3 pbc="T T T"
O -3.768 -5.389 3.263
O -6.426 -6.252 4.711
O -1.105 -1.057 1.281
O -3.763 -1.920 2.729
O -6.434 -3.479 3.312
O -1.097 -3.830 2.681
Li -2.289 -2.545 1.741
Li -5.242 -4.764 4.251
Li -2.266 -4.581 4.058
Li -5.265 -2.728 1.935
C -3.747 -1.120 3.725
C -3.784 -6.189 2.268
```

Computed properties:
M_tot: 0.000 Bohr magnetons per cell
Energy relative to the elements: -2036 meV/atom
Calculated total energy: -7.475 eV/atom
SG: No. 15

***

Below is an optimized crystal structure of Lu2Mo2C3, with properties calculated at the r²SCAN level.

```
7
Lattice="5.601 1.664 0.032 -5.601 1.664 -0.032 -1.868 0.000 5.257" Properties=species:S:1:pos:R:3 pbc="T T T"
C -0.934 3.329 2.628
C -3.973 1.664 3.918
C 2.105 1.664 1.338
Mo -4.631 1.664 1.908
Mo 2.763 1.664 3.349
Lu -0.228 1.664 4.304
Lu -1.640 1.664 0.953
```

Computed properties:
M_tot: 0.000 Bohr magnetons per cell
Energy relative to the elements: -486 meV/atom
Calculated total energy: -23.078 eV/atom
SG: No. 12

***

Below is an optimized crystal structure of Lu4Ni2C5, with properties calculated at the r²SCAN level.

```
11
Lattice="-3.398 -0.140 0.832 0.128 -3.620 -0.087 2.696 -0.168 10.983" Properties=species:S:1:pos:R:3 pbc="T T T"
Ni 1.749 -2.642 6.701
Ni 1.126 -2.603 4.160
Lu -0.324 -0.923 5.889
Lu 0.128 -3.618 -0.087
Lu -1.089 -1.914 2.597
Lu 0.514 -2.014 9.131
C 2.210 -3.743 8.397
C 1.824 -0.838 7.310
C 0.923 -0.782 3.638
C 0.741 -3.651 2.412
C -1.637 -1.844 0.374
```

Computed properties:
M_tot: 0.000 Bohr magnetons per cell
Energy relative to the elements: -555 meV/atom
Calculated total energy: -21.102 eV/atom
SG: No. 25

***

Below is an optimized crystal structure of LuNiC2, with properties calculated at the r²SCAN level.

```
4
Lattice="0.424 -1.848 2.880 1.901 -2.539 -1.909 2.499 2.452 1.206" Properties=species:S:1:pos:R:3 pbc="T T T"
Ni 2.478 -0.413 1.434
C 2.971 -1.974 0.360
C 1.615 -1.947 0.577
Lu 1.902 -2.531 -1.904
```

Computed properties:
M_tot: 0.000 Bohr magnetons per cell
Energy relative to the elements: -454 meV/atom
Calculated total energy: -17.943 eV/atom
SG: No. 38

***

Below is an optimized crystal structure of Lu3PbC, with properties calculated at the r²SCAN level.

```
5
Lattice="-3.739 -1.241 2.657 0.096 -4.355 -1.899 2.931 -1.441 3.451" Properties=species:S:1:pos:R:3 pbc="T T T"
Lu -1.869 -0.621 1.329
Lu 1.466 -0.720 1.726
Lu 0.048 -2.177 -0.950
C 0.000 0.000 0.000
Pb -0.356 -3.518 2.105
```

Computed properties:
M_tot: 0.000 Bohr magnetons per cell
Energy relative to the elements: -736 meV/atom
Calculated total energy: -36.830 eV/atom
SG: No. 221